1.
A plane-wave DFT calculation with meta-GGA r2SCAN was carried out for crystalline Ga3Te3Cl at its relaxed geometry.

## Properties
As for the symmetry: No. 62. The calculation puts the formation energy at -617 meV/atom.

```
Ga3Te3Cl
1.0
10.9632 0.0000 0.0000
0.0000 4.1148 0.0000
0.0000 0.0000 19.2080
Ga Te Cl
12 12 4
Cartesian
0.6557 1.0287 1.9568 Ga
1.6768 1.0287 12.2346 Ga
1.9419 1.0287 19.1020 Ga
3.5397 3.0861 9.4980 Ga
3.8048 3.0861 2.6306 Ga
4.8259 3.0861 11.5608 Ga
6.1373 1.0287 7.6473 Ga
7.1584 1.0287 16.5775 Ga
7.4235 1.0287 9.7100 Ga
9.0213 3.0861 0.1060 Ga
9.2864 3.0861 6.9735 Ga
10.3075 3.0861 17.2513 Ga
0.9419 1.0287 16.6474 Te
1.8121 1.0287 9.5926 Te
2.5951 1.0287 3.8018 Te
2.8865 3.0861 13.4059 Te
3.6695 3.0861 19.1966 Te
4.5397 3.0861 7.0434 Te
6.4235 1.0287 12.1646 Te
7.2937 1.0287 0.0114 Te
8.0767 1.0287 5.8022 Te
8.3682 3.0861 15.4062 Te
9.1511 3.0861 9.6154 Te
10.0213 3.0861 2.5606 Te
0.4320 3.0861 6.3772 Cl
5.0496 1.0287 15.9812 Cl
5.9136 3.0861 3.2268 Cl
10.5312 1.0287 12.8308 Cl
```

---

2.
A plane-wave DFT calculation with meta-GGA r2SCAN was carried out for crystalline Na2UO4 at its relaxed geometry.

## Properties
As for the symmetry: No. 61. The calculation puts the formation energy at -2850 meV/atom.

```
Na2UO4
1.0
5.7605 0.0000 0.0000
0.0000 5.9365 0.0000
0.0000 0.0000 11.6939
Na U O
8 4 16
Cartesian
0.0153 0.3428 1.9340 Na
0.0153 2.6254 7.7809 Na
2.8650 3.3110 1.9340 Na
2.8650 5.5937 7.7809 Na
2.8955 0.3428 3.9130 Na
2.8955 2.6254 9.7600 Na
5.7452 3.3110 3.9130 Na
5.7452 5.5937 9.7600 Na
0.0000 0.0000 5.8470 U
0.0000 2.9682 0.0000 U
2.8802 0.0000 0.0000 U
2.8802 2.9682 5.8470 U
0.6455 3.2103 9.8953 O
0.6455 5.6944 4.0484 O
1.1506 4.1894 6.4092 O
1.1506 4.7152 0.5623 O
1.7296 1.2212 6.4092 O
1.7296 1.7470 0.5623 O
2.2347 0.2421 9.8953 O
2.2347 2.7262 4.0484 O
3.5257 3.2103 7.6456 O
3.5257 5.6944 1.7986 O
4.0309 4.1894 11.1317 O
4.0309 4.7152 5.2847 O
4.6099 1.2212 11.1317 O
4.6099 1.7470 5.2847 O
5.1150 0.2421 7.6456 O
5.1150 2.7262 1.7986 O
```

---

3.
A plane-wave DFT calculation with meta-GGA r2SCAN was carried out for crystalline Li2AcPb at its relaxed geometry.

## Properties
As for the symmetry: No. 225. The calculation puts the formation energy at -399 meV/atom.

```
Li2AcPb
1.0
0.0000 3.6472 3.6472
3.6472 0.0000 3.6472
3.6472 3.6472 0.0000
Li Ac Pb
2 1 1
Cartesian
1.8236 1.8236 1.8236 Li
5.4709 5.4709 5.4709 Li
0.0000 0.0000 0.0000 Ac
3.6472 3.6472 3.6472 Pb
```

---

4.
A plane-wave DFT calculation with meta-GGA r2SCAN was carried out for crystalline InTeI7 at its relaxed geometry.

## Properties
As for the symmetry: No. 33. The calculation puts the formation energy at -358 meV/atom.

```
InTeI7
1.0
15.1906 0.0000 0.0000
0.0000 7.4008 0.0000
0.0000 0.0000 30.1235
In Te I
8 8 56
Cartesian
2.4926 1.5213 0.0000 In
3.6080 2.7597 7.2438 In
3.9873 6.4601 22.3055 In
5.1027 5.2217 15.0617 In
10.0879 2.1791 0.0000 In
11.2033 0.9407 7.2438 In
11.5825 4.6411 22.3055 In
12.6980 5.8794 15.0617 In
1.4766 0.8412 17.8322 Te
1.8931 7.0069 9.6977 Te
5.7022 3.3065 24.7594 Te
6.1187 4.5415 2.7705 Te
9.0719 2.8592 17.8322 Te
9.4884 4.0943 9.6977 Te
13.2975 0.3939 24.7594 Te
13.7140 6.5596 2.7705 Te
0.1639 2.0418 19.9376 I
0.3693 2.4080 15.8273 I
0.4100 1.7685 24.1571 I
0.8441 1.2168 11.6637 I
0.8617 2.9877 28.4608 I
1.0201 1.8762 7.1394 I
1.3193 1.3008 2.4825 I
2.6099 5.6899 20.0773 I
2.6143 6.4048 15.3393 I
2.8838 5.2933 24.5514 I
3.0785 5.1560 11.3811 I
3.1061 6.6393 28.7574 I
3.6113 5.5250 7.2057 I
3.7444 5.8865 2.9236 I
3.8509 2.1861 17.9853 I
3.9840 1.8246 22.2674 I
4.4892 2.9389 13.6957 I
4.5168 1.4556 26.4428 I
4.7115 1.5930 9.4897 I
4.9854 1.9895 5.0155 I
4.9810 2.7044 0.2775 I
6.2760 5.0012 17.5442 I
6.5752 5.5766 22.2012 I
6.7336 6.6881 13.3990 I
6.7512 4.9172 26.7255 I
7.1852 5.4688 9.0954 I
7.2260 6.1084 0.7656 I
7.4314 5.7422 4.8759 I
7.7591 1.6586 19.9376 I
7.9646 1.2924 15.8273 I
8.0053 1.9319 24.1571 I
8.4394 2.4836 11.6637 I
8.4570 0.7126 28.4608 I
8.6154 1.8242 7.1394 I
8.9146 2.3996 2.4825 I
10.2096 4.6963 15.3393 I
10.2052 5.4113 20.0773 I
10.4791 5.8078 24.5514 I
10.6738 5.9452 11.3811 I
10.7014 4.4618 28.7574 I
11.2066 5.5762 7.2057 I
11.3397 5.2146 2.9236 I
11.4462 1.5142 17.9853 I
11.5793 1.8758 22.2674 I
12.0845 0.7614 13.6957 I
12.1121 2.2448 26.4428 I
12.3068 2.1074 9.4897 I
12.5763 0.9960 0.2775 I
12.5807 1.7109 5.0155 I
13.8713 6.1000 17.5442 I
14.1705 5.5245 22.2012 I
14.3289 4.4130 13.3990 I
14.3465 6.1840 26.7255 I
14.7805 5.6323 9.0954 I
14.8213 4.9927 0.7656 I
15.0267 5.3590 4.8759 I
```

---

Raw total energy values (in eV/atom) by entry order: -17.2928; -18.7015; -32.8234; -24.7918.
Volume values (in Å³/atom) by entry order: 30.95; 14.28; 24.26; 47.04.